Record 1
Compound: Na4Mg2Ta2Si3S3O24
Source: the Materials Project database
Functional: PBE
Structure: relaxed

Calculated values
Formation energy from the elements, kJ/mol of atoms: -252.72
Magnetization, μB/f.u.: 0.00
Total energy, eV per formula unit: -262.68
Crystal system: triclinic

Cell and atoms, written as CIF:
```
data_Na4Mg2Ta2Si3S3O24
_chemical_formula_sum 'Na12 Mg6 Ta6 Si9 S9 O72'
_cell_length_a 8.888
_cell_length_b 8.948
_cell_length_c 22.637
_cell_angle_alpha 89.67
_cell_angle_beta 89.93
_cell_angle_gamma 60.27
_symmetry_space_group_name_H-M 'P 1'
_symmetry_Int_Tables_number 1
loop_
_symmetry_equiv_pos_as_xyz
'x,y,z'
loop_
_atom_site_label
_atom_site_type_symbol
_atom_site_fract_x
_atom_site_fract_y
_atom_site_fract_z
Na1 Na 0.000 0.000 0.000
Na2 Na 0.002 0.985 0.489
Na3 Na 0.010 0.650 0.092
Na4 Na 0.313 0.642 0.577
Na5 Na 0.322 0.312 0.156
Na6 Na 0.339 0.315 0.653
Na7 Na 0.359 0.973 0.744
Na8 Na 0.634 0.667 0.829
Na9 Na 0.637 0.979 0.245
Na10 Na 0.669 0.648 0.319
Na11 Na 0.687 0.320 0.406
Na12 Na 0.978 0.310 0.924
Mg1 Mg 0.004 0.982 0.852
Mg2 Mg 0.328 0.302 0.022
Mg3 Mg 0.330 0.323 0.518
Mg4 Mg 0.640 0.660 0.683
Mg5 Mg 0.672 0.648 0.186
Mg6 Mg 0.995 0.985 0.349
Ta1 Ta 0.318 0.346 0.309
Ta2 Ta 0.329 0.324 0.812
Ta3 Ta 0.642 0.657 0.480
Ta4 Ta 0.651 0.673 0.985
Ta5 Ta 0.973 0.006 0.147
Ta6 Ta 0.999 0.985 0.641
Si1 Si 0.286 0.699 0.751
Si2 Si 0.306 0.630 0.420
Si3 Si 0.321 0.030 0.917
Si4 Si 0.371 0.963 0.587
Si5 Si 0.648 0.963 0.090
Si6 Si 0.655 0.365 0.586
Si7 Si 0.701 0.294 0.256
Si8 Si 0.951 0.368 0.083
Si9 Si 0.983 0.710 0.250
S1 S 0.033 0.618 0.916
S2 S 0.034 0.331 0.418
S3 S 0.276 0.996 0.251
S4 S 0.365 0.663 0.084
S5 S 0.612 0.033 0.417
S6 S 0.613 0.328 0.916
S7 S 0.704 0.994 0.752
S8 S 0.939 0.661 0.585
S9 S 0.986 0.286 0.750
O1 O 0.019 0.168 0.699
O2 O 0.025 0.793 0.189
O3 O 0.116 0.519 0.579
O4 O 0.120 0.348 0.363
O5 O 0.126 0.499 0.863
O6 O 0.131 0.365 0.074
O7 O 0.135 0.544 0.970
O8 O 0.136 0.311 0.470
O9 O 0.146 0.019 0.910
O10 O 0.156 0.823 0.412
O11 O 0.158 0.289 0.755
O12 O 0.159 0.794 0.691
O13 O 0.162 0.511 0.257
O14 O 0.166 0.027 0.197
O15 O 0.179 0.957 0.590
O16 O 0.186 0.825 0.804
O17 O 0.192 0.824 0.085
O18 O 0.195 0.978 0.304
O19 O 0.290 0.163 0.967
O20 O 0.296 0.156 0.256
O21 O 0.298 0.505 0.759
O22 O 0.299 0.534 0.478
O23 O 0.323 0.154 0.574
O24 O 0.338 0.517 0.072
O25 O 0.349 0.491 0.362
O26 O 0.350 0.128 0.855
O27 O 0.450 0.849 0.243
O28 O 0.454 0.689 0.028
O29 O 0.467 0.640 0.136
O30 O 0.468 0.820 0.530
O31 O 0.470 0.883 0.647
O32 O 0.476 0.679 0.747
O33 O 0.486 0.349 0.576
O34 O 0.499 0.351 0.861
O35 O 0.500 0.836 0.922
O36 O 0.503 0.155 0.078
O37 O 0.503 0.629 0.422
O38 O 0.507 0.106 0.362
O39 O 0.512 0.284 0.259
O40 O 0.520 0.157 0.755
O41 O 0.524 0.140 0.468
O42 O 0.526 0.314 0.968
O43 O 0.626 0.871 0.146
O44 O 0.630 0.487 0.639
O45 O 0.632 0.485 0.916
O46 O 0.636 0.854 0.425
O47 O 0.651 0.487 0.244
O48 O 0.678 0.846 0.747
O49 O 0.685 0.825 0.029
O50 O 0.691 0.458 0.524
O51 O 0.781 0.024 0.697
O52 O 0.784 0.020 0.413
O53 O 0.784 0.176 0.907
O54 O 0.796 0.157 0.197
O55 O 0.798 0.986 0.805
O56 O 0.804 0.208 0.315
O57 O 0.816 0.689 0.245
O58 O 0.825 0.458 0.019
O59 O 0.832 0.172 0.593
O60 O 0.834 0.690 0.531
O61 O 0.844 0.954 0.089
O62 O 0.847 0.461 0.741
O63 O 0.850 0.491 0.135
O64 O 0.857 0.646 0.638
O65 O 0.858 0.497 0.421
O66 O 0.862 0.618 0.918
O67 O 0.955 0.828 0.589
O68 O 0.960 0.213 0.805
O69 O 0.962 0.825 0.305
O70 O 0.975 0.171 0.089
O71 O 0.999 0.187 0.413
O72 O 0.999 0.793 0.906
```



Record 2
Compound: Na9Mg5Ta7Si9S9O72
Source: the Materials Project database
Functional: PBE
Structure: relaxed

Calculated values
Formation energy from the elements, kJ/mol of atoms: -256.81
Magnetization, μB/f.u.: 0.00
Total energy, eV per formula unit: -791.20
Crystal system: triclinic

Cell and atoms, written as CIF:
```
data_Na9Mg5Ta7Si9S9O72
_chemical_formula_sum 'Na9 Mg5 Ta7 Si9 S9 O72'
_cell_length_a 8.863
_cell_length_b 8.880
_cell_length_c 22.708
_cell_angle_alpha 89.97
_cell_angle_beta 89.83
_cell_angle_gamma 60.12
_symmetry_space_group_name_H-M 'P 1'
_symmetry_Int_Tables_number 1
loop_
_symmetry_equiv_pos_as_xyz
'x,y,z'
loop_
_atom_site_label
_atom_site_type_symbol
_atom_site_fract_x
_atom_site_fract_y
_atom_site_fract_z
Na1 Na 0.000 0.000 0.000
Na2 Na 0.000 0.010 0.507
Na3 Na 0.030 0.680 0.581
Na4 Na 0.336 0.347 0.173
Na5 Na 0.339 0.338 0.669
Na6 Na 0.654 0.002 0.755
Na7 Na 0.689 0.666 0.840
Na8 Na 0.690 0.668 0.334
Na9 Na 0.980 0.350 0.416
Mg1 Mg 0.016 0.997 0.643
Mg2 Mg 0.335 0.348 0.306
Mg3 Mg 0.346 0.332 0.813
Mg4 Mg 0.700 0.662 0.479
Mg5 Mg 0.701 0.663 0.978
Ta1 Ta 0.009 0.991 0.852
Ta2 Ta 0.023 0.994 0.142
Ta3 Ta 0.030 0.985 0.349
Ta4 Ta 0.346 0.335 0.519
Ta5 Ta 0.361 0.329 0.019
Ta6 Ta 0.699 0.667 0.681
Ta7 Ta 0.700 0.636 0.185
Si1 Si 0.031 0.277 0.248
Si2 Si 0.035 0.693 0.743
Si3 Si 0.054 0.623 0.411
Si4 Si 0.320 0.700 0.244
Si5 Si 0.630 0.034 0.908
Si6 Si 0.686 0.961 0.577
Si7 Si 0.693 0.373 0.075
Si8 Si 0.972 0.664 0.077
Si9 Si 0.975 0.359 0.575
S1 S 0.064 0.327 0.912
S2 S 0.307 0.993 0.745
S3 S 0.354 0.618 0.912
S4 S 0.356 0.039 0.412
S5 S 0.399 0.951 0.079
S6 S 0.403 0.661 0.578
S7 S 0.638 0.329 0.411
S8 S 0.730 0.289 0.747
S9 S 0.732 0.995 0.246
O1 O 0.011 0.824 0.092
O2 O 0.021 0.167 0.589
O3 O 0.027 0.165 0.192
O4 O 0.040 0.820 0.406
O5 O 0.042 0.789 0.685
O6 O 0.056 0.158 0.905
O7 O 0.146 0.349 0.859
O8 O 0.155 0.492 0.359
O9 O 0.164 0.368 0.572
O10 O 0.166 0.485 0.069
O11 O 0.170 0.301 0.966
O12 O 0.181 0.040 0.408
O13 O 0.181 0.531 0.472
O14 O 0.189 0.800 0.906
O15 O 0.190 0.809 0.190
O16 O 0.191 0.502 0.754
O17 O 0.204 0.014 0.694
O18 O 0.204 0.287 0.248
O19 O 0.213 0.828 0.303
O20 O 0.217 0.980 0.087
O21 O 0.221 0.975 0.800
O22 O 0.226 0.806 0.586
O23 O 0.317 0.542 0.966
O24 O 0.324 0.156 0.466
O25 O 0.342 0.138 0.751
O26 O 0.349 0.510 0.248
O27 O 0.370 0.518 0.860
O28 O 0.373 0.132 0.073
O29 O 0.383 0.115 0.360
O30 O 0.388 0.496 0.575
O31 O 0.469 0.850 0.026
O32 O 0.484 0.826 0.742
O33 O 0.485 0.678 0.525
O34 O 0.493 0.862 0.422
O35 O 0.498 0.712 0.238
O36 O 0.501 0.644 0.920
O37 O 0.502 0.877 0.133
O38 O 0.509 0.153 0.571
O39 O 0.510 0.633 0.633
O40 O 0.516 0.350 0.071
O41 O 0.532 0.167 0.966
O42 O 0.539 0.126 0.848
O43 O 0.542 0.338 0.359
O44 O 0.556 0.302 0.466
O45 O 0.558 0.305 0.754
O46 O 0.565 0.148 0.254
O47 O 0.650 0.869 0.640
O48 O 0.656 0.492 0.137
O49 O 0.657 0.484 0.418
O50 O 0.663 0.842 0.916
O51 O 0.712 0.465 0.742
O52 O 0.712 0.834 0.524
O53 O 0.715 0.459 0.019
O54 O 0.720 0.835 0.241
O55 O 0.815 0.180 0.695
O56 O 0.817 0.016 0.193
O57 O 0.821 0.171 0.409
O58 O 0.832 0.026 0.905
O59 O 0.838 0.694 0.741
O60 O 0.843 0.206 0.801
O61 O 0.848 0.965 0.300
O62 O 0.849 0.471 0.241
O63 O 0.854 0.177 0.089
O64 O 0.857 0.973 0.587
O65 O 0.859 0.710 0.020
O66 O 0.863 0.646 0.415
O67 O 0.871 0.441 0.516
O68 O 0.877 0.502 0.633
O69 O 0.878 0.638 0.137
O70 O 0.887 0.471 0.917
O71 O 0.989 0.195 0.308
O72 O 0.992 0.834 0.801
```



What is the total energy in the second record? -791.20 eV per formula unit



What is the magnetization in the second record? 0.00 μB/f.u.



What is the formula in the first record? Na4Mg2Ta2Si3S3O24